The following is a DFT calculation (GGA-PBE) of an optimized crystal structure of Mn4Cu.

Calculated values
energy relative to the elements = 0.14 eV/atom
DFT total energy = -8.01 eV/atom
ρ = 8.452 g/cm3
calculated volume = 11.1 Å³/atom
crystal system = trigonal

abc: 2.4916 2.4916 31.0596
angles: 90.00 90.00 120.00
Space group R-3m (No. 166, hexagonal axes)
Symmetry-distinct sites (fractional):
Mn 0.0000 0.0000 0.0963
Mn 0.0000 0.0000 0.2990
Cu 0.0000 0.0000 0.5000